i.
VASP calculation (PBE with a Hubbard U) on crystalline Na5Fe2P2C2O14 at its relaxed geometry.

Lattice parameters (Å, degrees): 5.289 6.630 18.017 88.16 89.02 89.78
Space group P1 (No. 1)
One atom of each set of equivalent atoms:
Na 0.000 0.000 0.000 (multiplicity 1)
Na 0.001 0.278 0.329 (multiplicity 1)
Na 0.002 0.028 0.494 (multiplicity 1)
Na 0.501 0.021 0.733 (multiplicity 1)
Na 0.502 0.493 0.730 (multiplicity 1)
Na 0.506 0.511 0.235 (multiplicity 1)
Na 0.507 0.001 0.238 (multiplicity 1)
Na 0.522 0.742 0.411 (multiplicity 1)
Na 0.530 0.749 0.912 (multiplicity 1)
Na 0.997 0.272 0.830 (multiplicity 1)
Fe 0.532 0.279 0.537 (multiplicity 1)
Fe 0.538 0.282 0.039 (multiplicity 1)
Fe 0.971 0.759 0.690 (multiplicity 1)
Fe 0.980 0.760 0.190 (multiplicity 1)
P 0.035 0.260 0.154 (multiplicity 1)
P 0.039 0.259 0.658 (multiplicity 1)
P 0.461 0.772 0.075 (multiplicity 1)
P 0.470 0.773 0.577 (multiplicity 1)
C 0.032 0.768 0.335 (multiplicity 1)
C 0.034 0.770 0.830 (multiplicity 1)
C 0.482 0.259 0.393 (multiplicity 1)
C 0.483 0.262 0.899 (multiplicity 1)
O 0.059 0.803 0.403 (multiplicity 1)
O 0.071 0.807 0.897 (multiplicity 1)
O 0.174 0.784 0.088 (multiplicity 1)
O 0.186 0.786 0.604 (multiplicity 1)
O 0.222 0.750 0.781 (multiplicity 1)
O 0.231 0.747 0.290 (multiplicity 1)
O 0.282 0.262 0.435 (multiplicity 1)
O 0.289 0.265 0.944 (multiplicity 1)
O 0.323 0.263 0.130 (multiplicity 1)
O 0.331 0.262 0.647 (multiplicity 1)
O 0.457 0.254 0.828 (multiplicity 1)
O 0.463 0.253 0.321 (multiplicity 1)
O 0.517 0.586 0.532 (multiplicity 1)
O 0.528 0.581 0.028 (multiplicity 1)
O 0.536 0.960 0.529 (multiplicity 1)
O 0.545 0.958 0.023 (multiplicity 1)
O 0.603 0.766 0.149 (multiplicity 1)
O 0.625 0.766 0.652 (multiplicity 1)
O 0.703 0.266 0.423 (multiplicity 1)
O 0.705 0.272 0.928 (multiplicity 1)
O 0.806 0.750 0.802 (multiplicity 1)
O 0.808 0.751 0.305 (multiplicity 1)
O 0.875 0.255 0.083 (multiplicity 1)
O 0.898 0.253 0.586 (multiplicity 1)
O 0.959 0.448 0.706 (multiplicity 1)
O 0.967 0.072 0.712 (multiplicity 1)
O 0.974 0.445 0.201 (multiplicity 1)
O 0.985 0.073 0.206 (multiplicity 1)

***

ii.
VASP calculation (PBE with a Hubbard U) on crystalline Na5Fe2P2C2O14 at its relaxed geometry.

Lattice parameters (Å, degrees): 8.440 8.440 9.019 89.28 89.96 76.80
Space group P-1 (No. 2)
One atom of each set of equivalent atoms:
Na 0.007 0.258 0.421 (multiplicity 2)
Na 0.116 0.880 0.240 (multiplicity 2)
Na 0.361 0.623 0.764 (multiplicity 2)
Na 0.382 0.111 0.233 (multiplicity 2)
Na 0.479 0.256 0.584 (multiplicity 2)
Fe 0.233 0.022 0.842 (multiplicity 2)
Fe 0.260 0.483 0.144 (multiplicity 2)
P 0.022 0.728 0.920 (multiplicity 2)
P 0.476 0.768 0.082 (multiplicity 2)
C 0.248 0.511 0.426 (multiplicity 2)
C 0.261 0.983 0.552 (multiplicity 2)
O 0.046 0.194 0.935 (multiplicity 2)
O 0.085 0.845 0.812 (multiplicity 2)
O 0.110 0.332 0.172 (multiplicity 2)
O 0.144 0.090 0.613 (multiplicity 2)
O 0.150 0.609 0.336 (multiplicity 2)
O 0.171 0.582 0.957 (multiplicity 2)
O 0.243 0.528 0.566 (multiplicity 2)
O 0.274 0.973 0.410 (multiplicity 2)
O 0.326 0.908 0.048 (multiplicity 2)
O 0.352 0.390 0.363 (multiplicity 2)
O 0.367 0.888 0.638 (multiplicity 2)
O 0.403 0.168 0.819 (multiplicity 2)
O 0.423 0.630 0.173 (multiplicity 2)
O 0.445 0.303 0.068 (multiplicity 2)

***

Computed stability ranking, most favorable first: ii, i

***

i.
VASP calculation (PBE with a Hubbard U) on crystalline Na5Fe2P2C2O14 at its relaxed geometry.

Lattice parameters (Å, degrees): 5.273 6.623 8.995 88.05 89.16 89.70
Space group P1 (No. 1)
One atom of each set of equivalent atoms:
Na 0.000 0.000 0.000 (multiplicity 1)
Na 0.000 0.494 0.005 (multiplicity 1)
Na 0.020 0.240 0.351 (multiplicity 1)
Na 0.495 0.491 0.530 (multiplicity 1)
Na 0.495 0.768 0.189 (multiplicity 1)
Fe 0.034 0.773 0.609 (multiplicity 1)
Fe 0.476 0.250 0.912 (multiplicity 1)
P 0.533 0.751 0.842 (multiplicity 1)
P 0.957 0.263 0.681 (multiplicity 1)
C 0.530 0.258 0.202 (multiplicity 1)
C 0.982 0.752 0.328 (multiplicity 1)
O 0.023 0.072 0.590 (multiplicity 1)
O 0.042 0.450 0.581 (multiplicity 1)
O 0.098 0.256 0.831 (multiplicity 1)
O 0.205 0.763 0.389 (multiplicity 1)
O 0.304 0.240 0.143 (multiplicity 1)
O 0.373 0.746 0.699 (multiplicity 1)
O 0.471 0.935 0.937 (multiplicity 1)
O 0.483 0.565 0.948 (multiplicity 1)
O 0.557 0.294 0.338 (multiplicity 1)
O 0.669 0.277 0.710 (multiplicity 1)
O 0.729 0.237 0.113 (multiplicity 1)
O 0.788 0.755 0.420 (multiplicity 1)
O 0.823 0.753 0.797 (multiplicity 1)
O 0.956 0.743 0.186 (multiplicity 1)

***

ii.
VASP calculation (PBE with a Hubbard U) on crystalline Na5Fe2P2C2O14 at its relaxed geometry.

Lattice parameters (Å, degrees): 8.464 8.490 10.405 108.71 107.52 103.15
Space group P-1 (No. 2)
One atom of each set of equivalent atoms:
Na 0.009 0.484 0.228 (multiplicity 2)
Na 0.041 0.800 0.585 (multiplicity 2)
Na 0.254 0.252 0.764 (multiplicity 2)
Na 0.461 0.691 0.421 (multiplicity 2)
Na 0.485 0.991 0.241 (multiplicity 2)
Fe 0.065 0.824 0.153 (multiplicity 2)
Fe 0.450 0.694 0.852 (multiplicity 2)
P 0.196 0.940 0.919 (multiplicity 2)
P 0.314 0.565 0.079 (multiplicity 2)
C 0.231 0.978 0.445 (multiplicity 2)
C 0.268 0.528 0.572 (multiplicity 2)
O 0.072 0.814 0.956 (multiplicity 2)
O 0.084 0.838 0.379 (multiplicity 2)
O 0.096 0.021 0.823 (multiplicity 2)
O 0.166 0.419 0.934 (multiplicity 2)
O 0.177 0.454 0.433 (multiplicity 2)
O 0.221 0.473 0.664 (multiplicity 2)
O 0.244 0.671 0.185 (multiplicity 2)
O 0.277 0.830 0.823 (multiplicity 2)
O 0.296 0.035 0.363 (multiplicity 2)
O 0.308 0.058 0.588 (multiplicity 2)
O 0.346 0.089 0.067 (multiplicity 2)
O 0.417 0.666 0.634 (multiplicity 2)
O 0.438 0.492 0.170 (multiplicity 2)
O 0.438 0.699 0.043 (multiplicity 2)

***

Computed stability ranking, most favorable first: ii, i

***

i.
VASP calculation (PBE with a Hubbard U) on crystalline Na5Fe2P2C2O14 at its relaxed geometry.

Lattice parameters (Å, degrees): 10.378 6.613 10.502 90.00 120.06 90.00
Space group Pc (No. 7)
One atom of each set of equivalent atoms:
Na 0.000 0.001 0.000 (multiplicity 2)
Na 0.161 0.491 0.844 (multiplicity 2)
Na 0.348 0.249 0.184 (multiplicity 2)
Na 0.348 0.249 0.684 (multiplicity 2)
Na 0.821 0.234 0.169 (multiplicity 2)
Fe 0.441 0.001 0.494 (multiplicity 2)
Fe 0.740 0.496 0.861 (multiplicity 2)
P 0.507 0.500 0.493 (multiplicity 2)
P 0.669 0.002 0.368 (multiplicity 2)
C 0.025 0.499 0.531 (multiplicity 2)
C 0.150 0.004 0.323 (multiplicity 2)
O 0.010 0.015 0.243 (multiplicity 2)
O 0.168 0.500 0.113 (multiplicity 2)
O 0.214 0.002 0.968 (multiplicity 2)
O 0.237 0.002 0.765 (multiplicity 2)
O 0.406 0.316 0.973 (multiplicity 2)
O 0.410 0.315 0.476 (multiplicity 2)
O 0.520 0.001 0.722 (multiplicity 2)
O 0.548 0.499 0.367 (multiplicity 2)
O 0.640 0.002 0.498 (multiplicity 2)
O 0.654 0.493 0.144 (multiplicity 2)
O 0.764 0.190 0.374 (multiplicity 2)
O 0.765 0.191 0.885 (multiplicity 2)
O 0.937 0.488 0.085 (multiplicity 2)
O 0.961 0.484 0.388 (multiplicity 2)

***

ii.
VASP calculation (PBE with a Hubbard U) on crystalline Na5Fe2P2C2O14 at its relaxed geometry.

Lattice parameters (Å, degrees): 8.451 8.523 10.392 108.93 107.28 103.81
Space group P-1 (No. 2)
One atom of each set of equivalent atoms:
Na 0.005 0.000 0.263 (multiplicity 2)
Na 0.230 0.454 0.924 (multiplicity 2)
Na 0.253 0.738 0.732 (multiplicity 2)
Na 0.260 0.758 0.259 (multiplicity 2)
Na 0.307 0.064 0.087 (multiplicity 2)
Fe 0.203 0.446 0.354 (multiplicity 2)
Fe 0.311 0.068 0.652 (multiplicity 2)
P 0.055 0.314 0.577 (multiplicity 2)
P 0.436 0.189 0.416 (multiplicity 2)
C 0.020 0.273 0.066 (multiplicity 2)
C 0.481 0.223 0.940 (multiplicity 2)
O 0.024 0.573 0.327 (multiplicity 2)
O 0.029 0.784 0.843 (multiplicity 2)
O 0.063 0.811 0.076 (multiplicity 2)
O 0.092 0.836 0.571 (multiplicity 2)
O 0.159 0.240 0.677 (multiplicity 2)
O 0.161 0.419 0.130 (multiplicity 2)
O 0.182 0.442 0.539 (multiplicity 2)
O 0.310 0.056 0.448 (multiplicity 2)
O 0.320 0.267 0.325 (multiplicity 2)
O 0.326 0.089 0.875 (multiplicity 2)
O 0.413 0.664 0.434 (multiplicity 2)
O 0.434 0.705 0.919 (multiplicity 2)
O 0.459 0.719 0.145 (multiplicity 2)
O 0.488 0.914 0.687 (multiplicity 2)

***

Computed stability ranking, most favorable first: ii, i

***

i.
VASP calculation (PBE with a Hubbard U) on crystalline Na5Fe2P2C2O14 at its relaxed geometry.

Lattice parameters (Å, degrees): 6.687 8.974 10.461 90.26 90.26 90.60
Space group P-1 (No. 2)
One atom of each set of equivalent atoms:
Na 0.003 0.265 0.379 (multiplicity 2)
Na 0.011 0.261 0.871 (multiplicity 2)
Na 0.261 0.089 0.624 (multiplicity 2)
Na 0.268 0.075 0.114 (multiplicity 2)
Na 0.496 0.265 0.379 (multiplicity 2)
Fe 0.253 0.653 0.384 (multiplicity 2)
Fe 0.262 0.647 0.899 (multiplicity 2)
P 0.247 0.415 0.145 (multiplicity 2)
P 0.248 0.424 0.648 (multiplicity 2)
C 0.240 0.928 0.863 (multiplicity 2)
C 0.245 0.945 0.367 (multiplicity 2)
O 0.061 0.317 0.105 (multiplicity 2)
O 0.064 0.321 0.619 (multiplicity 2)
O 0.229 0.068 0.851 (multiplicity 2)
O 0.236 0.862 0.265 (multiplicity 2)
O 0.241 0.467 0.794 (multiplicity 2)
O 0.243 0.445 0.290 (multiplicity 2)
O 0.243 0.864 0.975 (multiplicity 2)
O 0.244 0.566 0.072 (multiplicity 2)
O 0.247 0.571 0.572 (multiplicity 2)
O 0.248 0.089 0.358 (multiplicity 2)
O 0.254 0.835 0.765 (multiplicity 2)
O 0.256 0.883 0.480 (multiplicity 2)
O 0.431 0.326 0.616 (multiplicity 2)
O 0.438 0.323 0.113 (multiplicity 2)

***

ii.
VASP calculation (PBE with a Hubbard U) on crystalline Na5Fe2P2C2O14 at its relaxed geometry.

Lattice parameters (Å, degrees): 9.015 6.594 10.503 90.00 90.48 90.00
Space group Pc (No. 7)
One atom of each set of equivalent atoms:
Na 0.000 0.001 0.000 (multiplicity 2)
Na 0.160 0.491 0.237 (multiplicity 2)
Na 0.348 0.247 0.491 (multiplicity 2)
Na 0.348 0.247 0.988 (multiplicity 2)
Na 0.820 0.230 0.742 (multiplicity 2)
Fe 0.439 0.002 0.228 (multiplicity 2)
Fe 0.741 0.497 0.009 (multiplicity 2)
P 0.508 0.499 0.759 (multiplicity 2)
P 0.669 0.000 0.466 (multiplicity 2)
C 0.023 0.498 0.482 (multiplicity 2)
C 0.149 0.005 0.752 (multiplicity 2)
O 0.009 0.018 0.764 (multiplicity 2)
O 0.166 0.499 0.471 (multiplicity 2)
O 0.212 0.002 0.140 (multiplicity 2)
O 0.236 0.003 0.353 (multiplicity 2)
O 0.406 0.313 0.732 (multiplicity 2)
O 0.410 0.315 0.228 (multiplicity 2)
O 0.521 0.002 0.039 (multiplicity 2)
O 0.551 0.500 0.405 (multiplicity 2)
O 0.641 0.000 0.322 (multiplicity 2)
O 0.653 0.492 0.681 (multiplicity 2)
O 0.764 0.189 0.509 (multiplicity 2)
O 0.765 0.192 0.999 (multiplicity 2)
O 0.936 0.488 0.884 (multiplicity 2)
O 0.960 0.484 0.593 (multiplicity 2)

***

Computed stability ranking, most favorable first: i, ii